The following is a PBE calculation of a geometry-optimized Tm2S3O20 structure, from Materials Project.

Unit cell a=7.4636 b=7.4636 c=18.1823 alpha=98.31 beta=98.31 gamma=52.22
Element x y z (fractional)
Tm  0.1511  0.1884  0.3949
Tm  0.1884  0.1511  0.8949
Tm  0.8116  0.8489  0.1051
Tm  0.8489  0.8116  0.6051
S  0.1881  0.2447  0.0907
S  0.2447  0.1881  0.5907
S  0.2869  0.7131  0.7500
S  0.7131  0.2869  0.2500
S  0.7553  0.8119  0.4093
S  0.8119  0.7553  0.9093
O  0.0727  0.7641  0.7105
O  0.0922  0.2364  0.0141
O  0.0937  0.4402  0.5906
O  0.1095  0.8843  0.3721
O  0.1117  0.1837  0.1471
O  0.1137  0.4797  0.1144
O  0.1157  0.8905  0.1279
O  0.1263  0.8024  0.5628
O  0.1837  0.1117  0.6471
O  0.1976  0.8737  0.9372
O  0.2364  0.0922  0.5141
O  0.2359  0.9273  0.7895
O  0.2656  0.3410  0.8159
O  0.3080  0.3785  0.4299
O  0.3410  0.2656  0.3159
O  0.3785  0.3080  0.9299
O  0.3831  0.5365  0.8045
O  0.4402  0.0937  0.0906
O  0.4635  0.6169  0.6955
O  0.4797  0.1137  0.6144
O  0.5203  0.8863  0.3856
O  0.5365  0.3831  0.3045
O  0.5598  0.9063  0.9094
O  0.6169  0.4635  0.1955
O  0.6215  0.6920  0.0701
O  0.6590  0.7343  0.6841
O  0.6920  0.6215  0.5701
O  0.7343  0.6590  0.1841
O  0.7641  0.0727  0.2105
O  0.7636  0.9078  0.4859
O  0.8024  0.1263  0.0628
O  0.8163  0.8883  0.3529
O  0.8737  0.1976  0.4372
O  0.8843  0.1095  0.8721
O  0.8863  0.5203  0.8856
O  0.8883  0.8163  0.8529
O  0.8905  0.1157  0.6279
O  0.9063  0.5598  0.4094
O  0.9078  0.7636  0.9859
O  0.9273  0.2359  0.2895

## Properties
- calculated total energy (eV/atom) = -5.422
- size of the total moment (μB per cell) = 32.0
- calculated volume (A^3/atom) = 15.802

---

The following is a PBE calculation of a geometry-optimized KNaTi4P6O24 structure, from Materials Project.

Unit cell a=9.0765 b=9.0765 c=9.0765 alpha=56.30 beta=56.30 gamma=56.30
Element x y z (fractional)
K  0.0000  0.0000  0.0000
Na  0.5000  0.5000  0.5000
Ti  0.1477  0.1477  0.1477
Ti  0.3529  0.3529  0.3529
Ti  0.6471  0.6471  0.6471
Ti  0.8523  0.8523  0.8523
P  0.0340  0.7497  0.4672
P  0.2503  0.5328  0.9660
P  0.4672  0.0340  0.7497
P  0.5328  0.9660  0.2503
P  0.7497  0.4672  0.0340
P  0.9660  0.2503  0.5328
O  0.0073  0.7632  0.6430
O  0.0647  0.9282  0.2930
O  0.0718  0.7070  0.9353
O  0.1413  0.2644  0.5078
O  0.2111  0.5716  0.4367
O  0.2368  0.3570  0.9927
O  0.2644  0.5078  0.1413
O  0.2930  0.0647  0.9282
O  0.3570  0.9927  0.2368
O  0.4284  0.5633  0.7889
O  0.4367  0.2111  0.5716
O  0.4922  0.8587  0.7356
O  0.5078  0.1413  0.2644
O  0.5633  0.7889  0.4284
O  0.5716  0.4367  0.2111
O  0.6430  0.0073  0.7632
O  0.7070  0.9353  0.0718
O  0.7356  0.4922  0.8587
O  0.7632  0.6430  0.0073
O  0.7889  0.4284  0.5633
O  0.8587  0.7356  0.4922
O  0.9282  0.2930  0.0647
O  0.9353  0.0718  0.7070
O  0.9927  0.2368  0.3570

## Properties
- calculated total energy (eV/atom) = -7.710
- size of the total moment (μB per cell) = 0.0
- calculated volume (A^3/atom) = 13.428

---

The following is a PBE calculation of a geometry-optimized Na2TiAuF6 structure, from Materials Project.

Unit cell a=6.4685 b=6.4685 c=6.4685 alpha=60.00 beta=60.00 gamma=60.00
Element x y z (fractional)
Na  0.2500  0.2500  0.2500
Na  0.7500  0.7500  0.7500
Ti  0.0000  0.0000  0.0000
Au  0.5000  0.5000  0.5000
F  0.2068  0.2068  0.7932
F  0.2068  0.7932  0.2068
F  0.2068  0.7932  0.7932
F  0.7932  0.2068  0.2068
F  0.7932  0.2068  0.7932
F  0.7932  0.7932  0.2068

## Properties
- calculated total energy (eV/atom) = -4.874
- size of the total moment (μB per cell) = 0.8
- calculated volume (A^3/atom) = 19.138

---

The following is a PBE calculation of a geometry-optimized K2GdCl5 structure, from Materials Project.

Unit cell a=13.0736 b=8.6865 c=8.1235 alpha=90.00 beta=90.00 gamma=90.00
Element x y z (fractional)
K  0.1722  0.0048  0.0513
K  0.1722  0.4952  0.0513
K  0.3278  0.5048  0.5513
K  0.3278  0.9952  0.5513
K  0.6722  0.0048  0.4487
K  0.6722  0.4952  0.4487
K  0.8278  0.5048  0.9487
K  0.8278  0.9952  0.9487
Gd  0.0038  0.2500  0.5731
Gd  0.4962  0.7500  0.0731
Gd  0.5038  0.2500  0.9269
Gd  0.9962  0.7500  0.4269
Cl  0.0100  0.2500  0.9113
Cl  0.0740  0.5413  0.6594
Cl  0.0740  0.9587  0.6594
Cl  0.1731  0.2500  0.3807
Cl  0.1972  0.7500  0.3415
Cl  0.3028  0.2500  0.8415
Cl  0.3269  0.7500  0.8807
Cl  0.4260  0.0413  0.1594
Cl  0.4260  0.4587  0.1594
Cl  0.4900  0.7500  0.4113
Cl  0.5100  0.2500  0.5887
Cl  0.5740  0.5413  0.8406
Cl  0.5740  0.9587  0.8406
Cl  0.6731  0.2500  0.1193
Cl  0.6972  0.7500  0.1585
Cl  0.8028  0.2500  0.6585
Cl  0.8269  0.7500  0.6193
Cl  0.9260  0.0413  0.3406
Cl  0.9260  0.4587  0.3406
Cl  0.9900  0.7500  0.0887

## Properties
- calculated total energy (eV/atom) = -5.353
- calculated volume (A^3/atom) = 28.829

---

The following is a PBE calculation of a geometry-optimized ReSbO3 structure, from Materials Project.

Unit cell a=3.9906 b=3.9906 c=3.9906 alpha=90.00 beta=90.00 gamma=90.00
Element x y z (fractional)
Re  0.0000  0.0000  0.0000
Sb  0.5000  0.5000  0.5000
O  0.0000  0.0000  0.5000
O  0.0000  0.5000  0.0000
O  0.5000  0.0000  0.0000

## Properties
- calculated total energy (eV/atom) = -6.967
- size of the total moment (μB per cell) = 0.0
- calculated volume (A^3/atom) = 12.710

---

The following is a PBE calculation of a geometry-optimized NpI2O9 structure, from Materials Project.

Unit cell a=8.3159 b=7.9648 c=12.5370 alpha=90.00 beta=90.00 gamma=90.00
Element x y z (fractional)
Np  0.0000  0.0711  0.2500
Np  0.0000  0.9289  0.7500
Np  0.5000  0.4289  0.7500
Np  0.5000  0.5711  0.2500
I  0.1771  0.3999  0.0420
I  0.1771  0.6001  0.5420
I  0.3229  0.1001  0.5420
I  0.3229  0.8999  0.0420
I  0.6771  0.1001  0.9580
I  0.6771  0.8999  0.4580
I  0.8229  0.3999  0.4580
I  0.8229  0.6001  0.9580
O  0.0000  0.1830  0.7500
O  0.0000  0.8170  0.2500
O  0.0898  0.3277  0.1666
O  0.0898  0.6723  0.6666
O  0.1046  0.3813  0.5344
O  0.1046  0.6187  0.0344
O  0.1249  0.0265  0.5983
O  0.1249  0.9735  0.0983
O  0.1793  0.0828  0.3306
O  0.1793  0.9172  0.8306
O  0.3207  0.4172  0.8306
O  0.3207  0.5828  0.3306
O  0.3751  0.4735  0.0983
O  0.3751  0.5265  0.5983
O  0.3954  0.1187  0.0344
O  0.3954  0.8813  0.5344
O  0.4102  0.1723  0.6666
O  0.4102  0.8277  0.1666
O  0.5000  0.3170  0.2500
O  0.5000  0.6830  0.7500
O  0.5898  0.1723  0.8334
O  0.5898  0.8277  0.3334
O  0.6046  0.1187  0.4656
O  0.6046  0.8813  0.9656
O  0.6249  0.4735  0.4017
O  0.6249  0.5265  0.9017
O  0.6793  0.4172  0.6694
O  0.6793  0.5828  0.1694
O  0.8207  0.0828  0.1694
O  0.8207  0.9172  0.6694
O  0.8751  0.0265  0.9017
O  0.8751  0.9735  0.4017
O  0.8954  0.3813  0.9656
O  0.8954  0.6187  0.4656
O  0.9102  0.3277  0.3334
O  0.9102  0.6723  0.8334

## Properties
- calculated total energy (eV/atom) = -5.994
- size of the total moment (μB per cell) = 4.0
- calculated volume (A^3/atom) = 17.300

---

The following is a PBE calculation of a geometry-optimized Li2CuP4O12 structure, from Materials Project.

Unit cell a=7.9080 b=7.9080 c=8.2661 alpha=95.64 beta=95.64 gamma=102.79
Element x y z (fractional)
Li  0.1073  0.4777  0.5940
Li  0.1787  0.8213  0.5000
Li  0.4777  0.1073  0.0940
Li  0.8213  0.1787  0.0000
Cu  0.4727  0.7614  0.7962
Cu  0.7614  0.4727  0.2962
P  0.1002  0.4739  0.1210
P  0.1487  0.8038  0.9602
P  0.4148  0.5820  0.3542
P  0.4739  0.1002  0.6210
P  0.5820  0.4148  0.8542
P  0.6857  0.8327  0.2232
P  0.8038  0.1487  0.4602
P  0.8327  0.6857  0.7232
O  0.0420  0.3510  0.9668
O  0.1208  0.6778  0.1015
O  0.2259  0.7126  0.8248
O  0.2326  0.9827  0.0423
O  0.2970  0.4683  0.1926
O  0.3013  0.6233  0.4820
O  0.3510  0.0420  0.4668
O  0.4460  0.9929  0.7622
O  0.4683  0.2970  0.6926
O  0.4879  0.5543  0.9012
O  0.4988  0.7635  0.2876
O  0.5543  0.4879  0.4012
O  0.6233  0.3013  0.9820
O  0.6571  0.9426  0.0887
O  0.6778  0.1208  0.6015
O  0.6839  0.7728  0.6893
O  0.7126  0.2259  0.3248
O  0.7635  0.4988  0.7876
O  0.7728  0.6839  0.1893
O  0.8012  0.9512  0.3841
O  0.9426  0.6571  0.5887
O  0.9512  0.8012  0.8841
O  0.9827  0.2326  0.5423
O  0.9929  0.4460  0.2622

## Properties
- calculated total energy (eV/atom) = -6.687
- size of the total moment (μB per cell) = 2.0
- calculated volume (A^3/atom) = 13.100
- distance to the lowest polymorph of the same formula (kJ/mol of atoms) = 2.7

---

The following is a PBE calculation of a geometry-optimized BaSrPrSbO6 structure, from Materials Project.

Unit cell a=8.6055 b=8.6101 c=8.6192 alpha=90.00 beta=90.00 gamma=90.00
Element x y z (fractional)
Ba  0.0000  0.0000  0.0000
Ba  0.0000  0.0000  0.5000
Ba  0.5000  0.0000  0.0000
Ba  0.5000  0.5000  0.5000
Sr  0.0000  0.5000  0.0000
Sr  0.0000  0.5000  0.5000
Sr  0.5000  0.0000  0.5000
Sr  0.5000  0.5000  0.0000
Pr  0.2510  0.2522  0.7495
Pr  0.2510  0.7478  0.2505
Pr  0.7490  0.2522  0.2505
Pr  0.7490  0.7478  0.7495
Sb  0.2496  0.2538  0.2508
Sb  0.2496  0.7462  0.7492
Sb  0.7504  0.2538  0.7492
Sb  0.7504  0.7462  0.2508
O  0.0186  0.2255  0.2780
O  0.0186  0.7745  0.7220
O  0.2165  0.2853  0.0198
O  0.2165  0.7147  0.9802
O  0.2178  0.4816  0.2906
O  0.2178  0.5184  0.7094
O  0.2738  0.0210  0.2215
O  0.2738  0.9790  0.7785
O  0.2895  0.2192  0.4801
O  0.2895  0.7808  0.5199
O  0.4793  0.2882  0.2152
O  0.4793  0.7118  0.7848
O  0.5207  0.2882  0.7848
O  0.5207  0.7118  0.2152
O  0.7105  0.2192  0.5199
O  0.7105  0.7808  0.4801
O  0.7262  0.0210  0.7785
O  0.7262  0.9790  0.2215
O  0.7822  0.4816  0.7094
O  0.7822  0.5184  0.2906
O  0.7835  0.2853  0.9802
O  0.7835  0.7147  0.0198
O  0.9814  0.2255  0.7220
O  0.9814  0.7745  0.2780

## Properties
- calculated total energy (eV/atom) = -6.793
- size of the total moment (μB per cell) = 0.0
- calculated volume (A^3/atom) = 15.966
- distance to the lowest polymorph of the same formula (kJ/mol of atoms) = 0.6

---

The following is a PBE calculation of a geometry-optimized LiTb2P2O8 structure, from Materials Project.

Unit cell a=5.7836 b=5.7836 c=6.1674 alpha=118.20 beta=118.20 gamma=74.63
Element x y z (fractional)
Li  0.0000  0.0000  0.0000
Tb  0.5600  0.0166  0.3967
Tb  0.9834  0.4400  0.6033
P  0.0205  0.5039  0.1466
P  0.4961  0.9795  0.8534
O  0.1542  0.6747  0.1121
O  0.2106  0.3329  0.3077
O  0.3253  0.8458  0.8879
O  0.3307  0.1491  0.6902
O  0.6671  0.7894  0.6923
O  0.6948  0.1380  0.1451
O  0.8509  0.6693  0.3098
O  0.8620  0.3052  0.8549

## Properties
- calculated total energy (eV/atom) = -7.406
- size of the total moment (μB per cell) = 1.0
- calculated volume (A^3/atom) = 12.308
- distance to the lowest polymorph of the same formula (kJ/mol of atoms) = 0.0

---

The following is a PBE calculation of a geometry-optimized Ba2MgSi2 structure, from Materials Project.

Unit cell a=3.5503 b=3.5503 c=14.9601 alpha=90.00 beta=90.00 gamma=90.00
Element x y z (fractional)
Ba  0.0000  0.0000  0.1257
Ba  0.0000  0.0000  0.8744
Mg  0.0000  0.0000  0.5000
Si  0.0000  0.0000  0.3289
Si  0.0000  0.0000  0.6711

## Properties
- calculated total energy (eV/atom) = -2.396
- size of the total moment (μB per cell) = 0.0
- calculated volume (A^3/atom) = 37.713

---

The following is a PBE calculation of a geometry-optimized VPt structure, from Materials Project.

Unit cell a=4.7372 b=4.7372 c=4.7372 alpha=33.67 beta=33.67 gamma=33.67
Element x y z (fractional)
V  0.0000  0.0000  0.0000
Pt  0.5000  0.5000  0.5000

## Properties
- calculated total energy (eV/atom) = -7.877
- size of the total moment (μB per cell) = 0.0
- calculated volume (A^3/atom) = 14.551

---

The following is a PBE calculation of a geometry-optimized SbRu structure, from Materials Project.

Unit cell a=5.9590 b=3.7992 c=6.6603 alpha=90.00 beta=90.00 gamma=90.00
Element x y z (fractional)
Sb  0.2003  0.2500  0.0800
Sb  0.2997  0.7500  0.5800
Sb  0.7003  0.2500  0.4200
Sb  0.7997  0.7500  0.9200
Ru  0.0070  0.2500  0.7060
Ru  0.4930  0.7500  0.2060
Ru  0.5070  0.2500  0.7940
Ru  0.9930  0.7500  0.2940

## Properties
- calculated total energy (eV/atom) = -6.843
- calculated volume (A^3/atom) = 18.848

---

Let's list calculated formation energy in order: -1.16; -3.02; -2.62; -2.54; -1.10; -1.47; -2.44; -2.98; -3.09; 0.89; -0.30; -0.14 eV/atom.